No. 1
! Sr2MgCuO3 (GGA-PBE, relaxed); values from VASP
! V, Å³/atom: 19.01
! Symmetry: Imm2
! ΔE_f, eV per atom: -1.981
! DFT total energy, eV/atom: -5.104
&SYSTEM
  ibrav = 0, nat = 7, ntyp = 4
/
ATOMIC_SPECIES
Sr 87.62 Sr.upf
Mg 24.30 Mg.upf
Cu 63.55 Cu.upf
O 16.00 O.upf
CELL_PARAMETERS angstrom
-1.872 9.483 1.874
1.872 -9.483 1.874
1.872 9.483 -1.874
ATOMIC_POSITIONS crystal
Sr 0.184 0.000 0.184
Sr 0.816 0.000 0.816
Mg 0.358 0.358 0.000
Cu 0.846 0.346 0.500
O 0.321 0.010 0.311
O 0.344 0.844 0.500
O 0.700 0.010 0.689



No. 2
! SrMg6CuO8 (GGA-PBE, relaxed); values from VASP
! V, Å³/atom: 10.97
! Symmetry: P4/mmm
! ΔE_f, eV per atom: -2.599
! DFT total energy, eV/atom: -5.692
&SYSTEM
  ibrav = 0, nat = 16, ntyp = 4
/
ATOMIC_SPECIES
Sr 87.62 Sr.upf
Mg 24.30 Mg.upf
Cu 63.55 Cu.upf
O 16.00 O.upf
CELL_PARAMETERS angstrom
4.521 0.000 0.000
0.000 4.521 0.000
0.000 0.000 8.583
ATOMIC_POSITIONS crystal
Sr 0.000 0.000 0.000
Mg 0.000 0.500 0.262
Mg 0.000 0.500 0.738
Mg 0.500 0.000 0.262
Mg 0.500 0.000 0.738
Mg 0.500 0.500 0.000
Mg 0.500 0.500 0.500
Cu 0.000 0.000 0.500
O 0.000 0.000 0.275
O 0.000 0.000 0.725
O 0.000 0.500 0.000
O 0.000 0.500 0.500
O 0.500 0.000 0.000
O 0.500 0.000 0.500
O 0.500 0.500 0.250
O 0.500 0.500 0.750



No. 3
! Sr2MgCu2O4 (GGA-PBE, relaxed); values from VASP
! V, Å³/atom: 15.36
! Symmetry: Pm
! ΔE_f, eV per atom: -1.955
! DFT total energy, eV/atom: -5.313
&SYSTEM
  ibrav = 0, nat = 9, ntyp = 4
/
ATOMIC_SPECIES
Sr 87.62 Sr.upf
Mg 24.30 Mg.upf
Cu 63.55 Cu.upf
O 16.00 O.upf
CELL_PARAMETERS angstrom
3.363 0.000 0.000
0.000 3.503 0.000
-1.582 0.000 11.733
ATOMIC_POSITIONS crystal
Sr 0.000 0.000 0.000
Sr 0.268 0.500 0.560
Mg 0.394 0.000 0.779
Cu 0.591 0.500 0.190
Cu 0.681 0.000 0.370
O 0.440 0.500 0.881
O 0.567 0.000 0.142
O 0.703 0.500 0.416
O 0.843 0.000 0.675



No. 4
! Sr2MgCuO3 (GGA-PBE, relaxed); values from VASP
! V, Å³/atom: 15.86
! Symmetry: P1
! ΔE_f, eV per atom: -2.237
! DFT total energy, eV/atom: -5.360
&SYSTEM
  ibrav = 0, nat = 7, ntyp = 4
/
ATOMIC_SPECIES
Sr 87.62 Sr.upf
Mg 24.30 Mg.upf
Cu 63.55 Cu.upf
O 16.00 O.upf
CELL_PARAMETERS angstrom
3.517 0.000 0.000
0.016 3.868 0.000
0.050 0.005 8.161
ATOMIC_POSITIONS crystal
Sr 0.000 0.000 0.000
Sr 0.491 0.503 0.331
Mg 0.505 0.499 0.731
Cu 0.995 0.002 0.581
O 0.007 0.503 0.605
O 0.500 0.499 0.976
O 0.989 0.003 0.291



No. 5
! SrMgCu2O3 (GGA-PBE, relaxed); values from VASP
! V, Å³/atom: 12.91
! Symmetry: P2/m
! ΔE_f, eV per atom: -1.814
! DFT total energy, eV/atom: -5.281
&SYSTEM
  ibrav = 0, nat = 7, ntyp = 4
/
ATOMIC_SPECIES
Sr 87.62 Sr.upf
Mg 24.30 Mg.upf
Cu 63.55 Cu.upf
O 16.00 O.upf
CELL_PARAMETERS angstrom
3.938 0.000 0.000
0.000 3.191 0.000
-0.001 0.000 7.193
ATOMIC_POSITIONS crystal
Sr 0.000 0.000 0.000
Mg 0.000 0.000 0.500
Cu 0.498 0.500 0.293
Cu 0.502 0.500 0.707
O 0.002 0.500 0.691
O 0.500 0.500 0.000
O 0.998 0.500 0.309



No. 6
! SrMg6CuO8 (GGA-PBE, relaxed); values from VASP
! V, Å³/atom: 10.93
! Symmetry: P4/mmm
! ΔE_f, eV per atom: -2.594
! DFT total energy, eV/atom: -5.687
&SYSTEM
  ibrav = 0, nat = 16, ntyp = 4
/
ATOMIC_SPECIES
Sr 87.62 Sr.upf
Mg 24.30 Mg.upf
Cu 63.55 Cu.upf
O 16.00 O.upf
CELL_PARAMETERS angstrom
4.476 0.000 0.000
0.000 4.476 0.000
0.000 0.000 8.730
ATOMIC_POSITIONS crystal
Sr 0.000 0.000 0.000
Mg 0.000 0.000 0.500
Mg 0.000 0.500 0.260
Mg 0.000 0.500 0.740
Mg 0.500 0.000 0.260
Mg 0.500 0.000 0.740
Mg 0.500 0.500 0.500
Cu 0.500 0.500 0.000
O 0.000 0.000 0.273
O 0.000 0.000 0.727
O 0.000 0.500 0.000
O 0.000 0.500 0.500
O 0.500 0.000 0.000
O 0.500 0.000 0.500
O 0.500 0.500 0.254
O 0.500 0.500 0.746



No. 7
! Sr2MgCu4O6 (GGA-PBE, relaxed); values from VASP
! V, Å³/atom: 13.10
! Symmetry: P-1
! ΔE_f, eV per atom: -1.755
! DFT total energy, eV/atom: -5.366
&SYSTEM
  ibrav = 0, nat = 13, ntyp = 4
/
ATOMIC_SPECIES
Sr 87.62 Sr.upf
Mg 24.30 Mg.upf
Cu 63.55 Cu.upf
O 16.00 O.upf
CELL_PARAMETERS angstrom
3.312 0.000 0.000
0.001 3.945 0.000
0.016 1.950 13.037
ATOMIC_POSITIONS crystal
Sr 0.007 0.144 0.223
Sr 0.993 0.856 0.777
Mg 0.000 0.000 0.500
Cu 0.494 0.286 0.924
Cu 0.495 0.438 0.612
Cu 0.505 0.562 0.388
Cu 0.506 0.714 0.076
O 0.491 0.356 0.776
O 0.494 0.784 0.929
O 0.498 0.942 0.605
O 0.502 0.058 0.395
O 0.506 0.216 0.071
O 0.509 0.644 0.224



No. 8
! Sr2MgCuTeO6 (GGA-PBE, relaxed); values from VASP
! V, Å³/atom: 14.54
! Symmetry: P1
! ΔE_f, eV per atom: -2.203
! DFT total energy, eV/atom: -5.638
&SYSTEM
  ibrav = 0, nat = 11, ntyp = 5
/
ATOMIC_SPECIES
Sr 87.62 Sr.upf
Mg 24.30 Mg.upf
Cu 63.55 Cu.upf
Te 127.60 Te.upf
O 16.00 O.upf
CELL_PARAMETERS angstrom
5.717 0.000 0.000
2.769 5.211 0.000
1.728 2.244 5.369
ATOMIC_POSITIONS crystal
Sr 0.000 0.000 0.000
Sr 0.380 0.446 0.665
Mg 0.734 0.806 0.530
Cu 0.609 0.679 0.061
Te 0.176 0.223 0.355
O 0.000 0.423 0.039
O 0.023 0.924 0.473
O 0.326 0.522 0.236
O 0.417 0.964 0.729
O 0.547 0.969 0.208
O 0.862 0.409 0.588



No. 9
! Sr2YMgTlCu2O7 (GGA-PBE, relaxed); values from VASP
! V, Å³/atom: 14.83
! Symmetry: Pmm2
! ΔE_f, eV per atom: -2.175
! DFT total energy, eV/atom: -5.878
&SYSTEM
  ibrav = 0, nat = 14, ntyp = 6
/
ATOMIC_SPECIES
Sr 87.62 Sr.upf
Y 88.91 Y.upf
Mg 24.30 Mg.upf
Tl 204.38 Tl.upf
Cu 63.55 Cu.upf
O 16.00 O.upf
CELL_PARAMETERS angstrom
3.739 0.000 0.000
0.000 3.832 0.000
0.000 0.000 14.497
ATOMIC_POSITIONS crystal
Sr 0.000 0.000 0.000
Sr 0.000 0.000 0.484
Y 0.000 0.000 0.243
Mg 0.000 0.500 0.637
Tl 0.500 0.500 0.796
Cu 0.500 0.500 0.123
Cu 0.500 0.500 0.364
O 0.000 0.000 0.675
O 0.000 0.500 0.143
O 0.000 0.500 0.345
O 0.500 0.000 0.138
O 0.500 0.000 0.345
O 0.500 0.500 0.538
O 0.500 0.500 0.959



No. 10
! Sr2YMgTlCu2O7 (GGA-PBE, relaxed); values from VASP
! V, Å³/atom: 15.38
! Symmetry: Amm2
! ΔE_f, eV per atom: -2.032
! DFT total energy, eV/atom: -5.734
&SYSTEM
  ibrav = 0, nat = 14, ntyp = 6
/
ATOMIC_SPECIES
Sr 87.62 Sr.upf
Y 88.91 Y.upf
Mg 24.30 Mg.upf
Tl 204.38 Tl.upf
Cu 63.55 Cu.upf
O 16.00 O.upf
CELL_PARAMETERS angstrom
11.951 0.000 0.000
0.000 2.894 3.113
0.000 -2.894 3.113
ATOMIC_POSITIONS crystal
Sr 0.209 0.000 0.000
Sr 0.791 0.000 0.000
Y 0.500 0.771 0.771
Mg 0.500 0.229 0.229
Tl 0.000 0.542 0.542
Cu 0.299 0.505 0.505
Cu 0.701 0.505 0.505
O 0.000 0.893 0.893
O 0.160 0.373 0.373
O 0.392 0.330 0.857
O 0.392 0.857 0.330
O 0.608 0.330 0.857
O 0.608 0.857 0.330
O 0.840 0.373 0.373



No. 11
! Sr2YMgTlCu2O7 (GGA-PBE, relaxed); values from VASP
! V, Å³/atom: 16.45
! Symmetry: P4mm
! ΔE_f, eV per atom: -2.071
! DFT total energy, eV/atom: -5.773
&SYSTEM
  ibrav = 0, nat = 14, ntyp = 6
/
ATOMIC_SPECIES
Sr 87.62 Sr.upf
Y 88.91 Y.upf
Mg 24.30 Mg.upf
Tl 204.38 Tl.upf
Cu 63.55 Cu.upf
O 16.00 O.upf
CELL_PARAMETERS angstrom
3.861 0.000 0.000
0.000 3.861 0.000
0.000 0.000 15.441
ATOMIC_POSITIONS crystal
Sr 0.000 0.000 0.000
Sr 0.000 0.000 0.312
Y 0.000 0.000 0.765
Mg 0.000 0.000 0.574
Tl 0.500 0.500 0.160
Cu 0.500 0.500 0.633
Cu 0.500 0.500 0.866
O 0.000 0.000 0.159
O 0.000 0.500 0.625
O 0.000 0.500 0.837
O 0.500 0.000 0.625
O 0.500 0.000 0.837
O 0.500 0.500 0.004
O 0.500 0.500 0.318



No. 12
! MgTa2CuO7 (GGA-PBE, relaxed); values from VASP
! V, Å³/atom: 14.64
! Symmetry: P2/c
! ΔE_f, eV per atom: -2.757
! DFT total energy, eV/atom: -8.143
&SYSTEM
  ibrav = 0, nat = 66, ntyp = 4
/
ATOMIC_SPECIES
Mg 24.30 Mg.upf
Ta 180.95 Ta.upf
Cu 63.55 Cu.upf
O 16.00 O.upf
CELL_PARAMETERS angstrom
10.824 0.000 0.000
0.000 8.314 0.000
-1.060 0.000 10.735
ATOMIC_POSITIONS crystal
Mg 0.000 0.053 0.250
Mg 0.000 0.947 0.750
Mg 0.370 0.441 0.927
Mg 0.370 0.559 0.427
Mg 0.630 0.441 0.573
Mg 0.630 0.559 0.073
Ta 0.010 0.292 0.528
Ta 0.010 0.708 0.028
Ta 0.327 0.208 0.210
Ta 0.327 0.792 0.710
Ta 0.335 0.248 0.627
Ta 0.335 0.752 0.127
Ta 0.665 0.248 0.873
Ta 0.665 0.752 0.373
Ta 0.673 0.208 0.290
Ta 0.673 0.792 0.790
Ta 0.990 0.292 0.972
Ta 0.990 0.708 0.472
Cu 0.000 0.413 0.250
Cu 0.000 0.587 0.750
Cu 0.290 0.091 0.919
Cu 0.290 0.909 0.419
Cu 0.710 0.091 0.581
Cu 0.710 0.909 0.081
O 0.008 0.110 0.885
O 0.008 0.890 0.385
O 0.048 0.242 0.140
O 0.048 0.758 0.640
O 0.063 0.460 0.891
O 0.063 0.540 0.391
O 0.184 0.334 0.557
O 0.184 0.666 0.057
O 0.228 0.064 0.294
O 0.228 0.936 0.794
O 0.295 0.273 0.037
O 0.295 0.727 0.537
O 0.319 0.396 0.295
O 0.319 0.604 0.795
O 0.343 0.038 0.569
O 0.343 0.962 0.069
O 0.345 0.251 0.801
O 0.345 0.749 0.301
O 0.443 0.392 0.563
O 0.443 0.608 0.063
O 0.500 0.158 0.250
O 0.500 0.842 0.750
O 0.557 0.392 0.937
O 0.557 0.608 0.437
O 0.655 0.251 0.699
O 0.655 0.749 0.199
O 0.657 0.038 0.931
O 0.657 0.962 0.431
O 0.681 0.396 0.205
O 0.681 0.604 0.705
O 0.705 0.273 0.463
O 0.705 0.727 0.963
O 0.772 0.064 0.206
O 0.772 0.936 0.706
O 0.816 0.334 0.943
O 0.816 0.666 0.443
O 0.937 0.460 0.609
O 0.937 0.540 0.109
O 0.952 0.242 0.360
O 0.952 0.758 0.860
O 0.992 0.110 0.615
O 0.992 0.890 0.115



No. 13
! Mg2Ta2CuO8 (GGA-PBE, relaxed); values from VASP
! V, Å³/atom: 11.56
! Symmetry: C2/c
! ΔE_f, eV per atom: -2.860
! DFT total energy, eV/atom: -7.867
&SYSTEM
  ibrav = 0, nat = 26, ntyp = 4
/
ATOMIC_SPECIES
Mg 24.30 Mg.upf
Ta 180.95 Ta.upf
Cu 63.55 Cu.upf
O 16.00 O.upf
CELL_PARAMETERS angstrom
9.584 -3.031 0.000
9.584 3.031 0.000
-0.233 0.000 5.174
ATOMIC_POSITIONS crystal
Mg 0.083 0.371 0.247
Mg 0.371 0.083 0.747
Mg 0.629 0.917 0.253
Mg 0.917 0.629 0.753
Ta 0.222 0.545 0.272
Ta 0.455 0.778 0.228
Ta 0.545 0.222 0.772
Ta 0.778 0.455 0.728
Cu 0.147 0.853 0.750
Cu 0.853 0.147 0.250
O 0.045 0.337 0.870
O 0.080 0.806 0.441
O 0.194 0.920 0.059
O 0.210 0.417 0.554
O 0.319 0.534 0.943
O 0.337 0.045 0.370
O 0.417 0.210 0.054
O 0.466 0.681 0.557
O 0.534 0.319 0.443
O 0.583 0.790 0.946
O 0.663 0.955 0.630
O 0.681 0.466 0.057
O 0.790 0.583 0.446
O 0.806 0.080 0.941
O 0.920 0.194 0.559
O 0.955 0.663 0.130



No. 14
! MgTa2Cu2O8 (GGA-PBE, relaxed); values from VASP
! V, Å³/atom: 13.52
! Symmetry: P2_1/c
! ΔE_f, eV per atom: -2.462
! DFT total energy, eV/atom: -7.662
&SYSTEM
  ibrav = 0, nat = 52, ntyp = 4
/
ATOMIC_SPECIES
Mg 24.30 Mg.upf
Ta 180.95 Ta.upf
Cu 63.55 Cu.upf
O 16.00 O.upf
CELL_PARAMETERS angstrom
6.652 0.000 0.000
0.000 8.609 0.000
-0.436 0.000 12.276
ATOMIC_POSITIONS crystal
Mg 0.111 0.160 0.051
Mg 0.111 0.340 0.551
Mg 0.889 0.660 0.449
Mg 0.889 0.840 0.949
Ta 0.097 0.044 0.344
Ta 0.097 0.456 0.844
Ta 0.386 0.587 0.364
Ta 0.386 0.913 0.864
Ta 0.614 0.087 0.136
Ta 0.614 0.413 0.636
Ta 0.903 0.544 0.156
Ta 0.903 0.956 0.656
Cu 0.233 0.684 0.623
Cu 0.233 0.816 0.123
Cu 0.374 0.060 0.623
Cu 0.374 0.440 0.123
Cu 0.626 0.560 0.877
Cu 0.626 0.940 0.377
Cu 0.767 0.184 0.877
Cu 0.767 0.316 0.377
O 0.039 0.244 0.400
O 0.039 0.256 0.900
O 0.087 0.111 0.612
O 0.087 0.389 0.112
O 0.116 0.045 0.195
O 0.116 0.455 0.695
O 0.186 0.576 0.472
O 0.186 0.924 0.972
O 0.297 0.626 0.216
O 0.297 0.874 0.716
O 0.348 0.517 0.898
O 0.348 0.983 0.398
O 0.412 0.220 0.086
O 0.412 0.280 0.586
O 0.500 0.104 0.861
O 0.500 0.396 0.361
O 0.500 0.604 0.639
O 0.500 0.896 0.139
O 0.588 0.720 0.414
O 0.588 0.780 0.914
O 0.652 0.017 0.602
O 0.652 0.483 0.102
O 0.703 0.126 0.284
O 0.703 0.374 0.784
O 0.814 0.076 0.028
O 0.814 0.424 0.528
O 0.884 0.545 0.305
O 0.884 0.955 0.805
O 0.913 0.611 0.888
O 0.913 0.889 0.388
O 0.961 0.744 0.100
O 0.961 0.756 0.600



No. 15
! MgCu3Te2O10 (GGA-PBE, relaxed); values from VASP
! V, Å³/atom: 13.53
! Symmetry: P-1
! ΔE_f, eV per atom: -1.392
! DFT total energy, eV/atom: -5.317
&SYSTEM
  ibrav = 0, nat = 16, ntyp = 4
/
ATOMIC_SPECIES
Mg 24.30 Mg.upf
Cu 63.55 Cu.upf
Te 127.60 Te.upf
O 16.00 O.upf
CELL_PARAMETERS angstrom
5.342 0.000 0.000
-1.617 5.746 0.000
-1.474 -2.461 7.055
ATOMIC_POSITIONS crystal
Mg 0.000 0.000 0.000
Cu 0.196 0.376 0.409
Cu 0.500 0.000 0.500
Cu 0.804 0.624 0.591
Te 0.385 0.796 0.795
Te 0.615 0.204 0.205
O 0.038 0.678 0.838
O 0.178 0.808 0.558
O 0.300 0.020 0.265
O 0.374 0.145 0.955
O 0.433 0.490 0.668
O 0.567 0.510 0.332
O 0.626 0.855 0.045
O 0.700 0.980 0.735
O 0.822 0.192 0.442
O 0.962 0.322 0.162



No. 16
! MgCu2Te2O8 (GGA-PBE, relaxed); values from VASP
! V, Å³/atom: 13.81
! Symmetry: Cm
! ΔE_f, eV per atom: -1.427
! DFT total energy, eV/atom: -5.287
&SYSTEM
  ibrav = 0, nat = 13, ntyp = 4
/
ATOMIC_SPECIES
Mg 24.30 Mg.upf
Cu 63.55 Cu.upf
Te 127.60 Te.upf
O 16.00 O.upf
CELL_PARAMETERS angstrom
5.643 -2.900 0.000
5.643 2.900 0.000
-3.452 0.000 5.486
ATOMIC_POSITIONS crystal
Mg 0.000 0.000 0.000
Cu 0.163 0.664 0.449
Cu 0.664 0.163 0.449
Te 0.663 0.663 0.941
Te 0.665 0.665 0.469
O 0.398 0.888 0.120
O 0.452 0.452 0.296
O 0.458 0.458 0.699
O 0.465 0.909 0.724
O 0.872 0.872 0.173
O 0.888 0.398 0.120
O 0.898 0.898 0.636
O 0.909 0.465 0.724